[1]
The following is a DFT calculation (PBE-GGA) of a relaxed structure of ErCuSn.

- symmetry = P6_3/mmc
- DFT formation energy (eV per atom) = -0.5401

Cell lengths 4.5205, 4.5205, 7.2580 Å; angles 90.00, 90.00, 120.00 degrees
Closest atoms and distances in Å follow each position.
Fractional coordinates of all 6 atoms:
Er1 0.0000 0.0000 0.0000  6 Sn 3.18, 6 Cu 3.18
Er2 0.0000 0.0000 0.5000  6 Sn 3.18, 6 Cu 3.18
Cu1 0.3333 0.6667 0.2500  3 Sn 2.61
Cu2 0.6667 0.3333 0.7500  3 Sn 2.61
Sn1 0.3333 0.6667 0.7500  3 Cu 2.61
Sn2 0.6667 0.3333 0.2500  3 Cu 2.61



[2]
The following is a DFT calculation (PBE-GGA) of a relaxed structure of MgCu4H8C2O10.

- symmetry = P1
- energy above the most stable polymorph in this dataset (eV/atom) = 0.0137
- DFT formation energy (eV per atom) = -1.1636

Cell lengths 5.9521, 6.1677, 7.7762 Å; angles 93.47, 111.30, 92.19 degrees
Closest atoms and distances in Å follow each position.
Fractional coordinates of all 25 atoms:
Mg1 0.0000 0.0000 0.0000  6 O 2.07-2.18
Cu1 0.2221 0.6525 0.4824  2 O 1.89-1.93
Cu2 0.2733 0.1434 0.4719  4 O 1.94-2.06
Cu3 0.7489 0.4198 0.4600  3 O 1.93-2.03
Cu4 0.7766 0.8603 0.5289  2 O 1.86-1.88
H1 0.2393 0.5372 0.1235  1 C 1.11
H2 0.4337 0.2113 0.8860  1 C 1.11
H3 0.5137 0.9077 0.7261  1 O 0.99
H4 0.6072 0.4001 0.7154  1 O 0.98
H5 0.6299 0.7121 0.2061  1 O 0.98
H6 0.9017 0.9339 0.2835  1 O 0.98
H7 0.9207 0.1924 0.7019  1 O 0.98
H8 0.9734 0.3611 0.2567  1 O 1.00
C1 0.0517 0.5173 0.0198  1 H 1.11
C2 0.4770 0.0823 0.9846  1 H 1.11
O1 0.0305 0.3805 0.3948  1 H 1.00
O2 0.0622 0.9375 0.2759  1 H 0.98
O3 0.3696 0.0752 0.0969  1 C 1.26
O4 0.4480 0.8928 0.5884  1 H 0.99
O5 0.5198 0.3850 0.5808  1 H 0.98
O6 0.6014 0.6760 0.3175  1 H 0.98
O7 0.6313 0.9493 0.9731  1 C 1.28
O8 0.9253 0.3420 0.0160  1 C 1.29
O9 0.9697 0.0453 0.7313  1 H 0.98
O10 0.9748 0.6677 0.9155  1 C 1.26



[3]
The following is a DFT calculation (PBE-GGA) of a relaxed structure of Y2MgBi2O7.

- symmetry = Cm
- energy above the most stable polymorph in this dataset (eV/atom) = 0.0366
- DFT formation energy (eV per atom) = -2.6754

Cell lengths 6.0555, 6.0555, 6.5063 Å; angles 93.09, 93.09, 107.67 degrees
Closest atoms and distances in Å follow each position.
Fractional coordinates of all 12 atoms:
Y1 0.1790 0.8210 0.0000  6 O 2.25-2.49
Y2 0.8210 0.1790 0.0000  6 O 2.25-2.49
Mg1 0.6412 0.6412 0.8845  4 O 1.96-2.09
Bi1 0.2330 0.2330 0.6262  3 O 2.13-2.17
Bi2 0.7597 0.7597 0.3721  4 O 2.18-2.32
O1 0.0430 0.0430 0.2225  2 Y 2.27, 1 Bi 2.32
O2 0.1137 0.4441 0.8470  1 Bi 2.17, 2 Y 2.31-2.35
O3 0.4441 0.1137 0.8470  1 Bi 2.17, 2 Y 2.31-2.35
O4 0.5270 0.5270 0.5984  1 Mg 1.96, 1 Bi 2.13
O5 0.5396 0.8265 0.1217  1 Mg 2.09, 1 Bi 2.18, 1 Y 2.27
O6 0.8265 0.5396 0.1217  1 Mg 2.09, 1 Bi 2.18, 1 Y 2.27
O7 0.9087 0.9087 0.7975  1 Mg 2.04, 2 Y 2.25



[4]
The following is a DFT calculation (PBE-GGA) of a relaxed structure of MgTi2Si2O8.

- symmetry = P1
- energy above the most stable polymorph in this dataset (eV/atom) = 0.1224
- DFT formation energy (eV per atom) = -3.0205

Cell lengths 5.4963, 6.0409, 6.0672 Å; angles 79.09, 65.56, 62.96 degrees
Closest atoms and distances in Å follow each position.
Fractional coordinates of all 13 atoms:
Mg1 0.0000 0.0000 0.0000  5 O 2.04-2.28
Ti1 0.2698 0.4601 0.9978  6 O 2.00-2.19
Ti2 0.8992 0.2019 0.4988  6 O 2.07-2.13
Si1 0.4394 0.1210 0.4987  4 O 1.62-1.65
Si2 0.7137 0.5718 0.9985  4 O 1.63-1.68
O1 0.2318 0.9748 0.6358  1 Si 1.62
O2 0.2686 0.2891 0.3148  1 Si 1.65
O3 0.3590 0.7330 0.0772  1 Si 1.63
O4 0.4405 0.2931 0.6793  1 Si 1.65
O5 0.7417 0.3621 0.8317  1 Si 1.68
O6 0.7932 0.9732 0.3644  1 Si 1.62
O7 0.8980 0.3580 0.1619  1 Si 1.68
O8 0.9058 0.7342 0.9228  1 Si 1.63



Number 1: energy -28.59 eV/cell, calculated volume 128 Å³ per cell. Number 2: energy -135.30 eV/cell, calculated volume 265 Å³ per cell. Number 3: energy -84.24 eV/cell, calculated volume 226 Å³ per cell. Number 4: energy -101.60 eV/cell, calculated volume 163 Å³ per cell.